# Zn4CuN3 | Materials Project | PBE-GGA | optimized geometry
# Crystal system: triclinic
data_Zn4CuN3
_chemical_formula_sum 'Zn16 Cu4 N12'
_symmetry_space_group_name_H-M 'P 1'
_symmetry_Int_Tables_number 1
_cell_length_a 6.417
_cell_length_b 6.936
_cell_length_c 12.058
_cell_angle_alpha 90.05
_cell_angle_beta 91.16
_cell_angle_gamma 117.49
loop_
_symmetry_equiv_pos_as_xyz
'x,y,z'
loop_
_atom_site_label
_atom_site_type_symbol
_atom_site_fract_x
_atom_site_fract_y
_atom_site_fract_z
_atom_site_occupancy
Zn1 Zn 0.000 0.000 0.000 1
Zn2 Zn 0.002 0.843 0.558 1
Zn3 Zn 0.003 0.404 0.904 1
Zn4 Zn 0.039 0.490 0.386 1
Zn5 Zn 0.088 0.464 0.631 1
Zn6 Zn 0.135 0.998 0.763 1
Zn7 Zn 0.264 0.161 0.203 1
Zn8 Zn 0.327 0.556 0.129 1
Zn9 Zn 0.417 0.373 0.920 1
Zn10 Zn 0.473 0.911 0.947 1
Zn11 Zn 0.535 0.040 0.503 1
Zn12 Zn 0.541 0.534 0.397 1
Zn13 Zn 0.662 0.076 0.718 1
Zn14 Zn 0.852 0.210 0.140 1
Zn15 Zn 0.874 0.644 0.195 1
Zn16 Zn 0.877 0.946 0.342 1
Cu1 Cu 0.325 0.270 0.567 1
Cu2 Cu 0.541 0.700 0.603 1
Cu3 Cu 0.624 0.249 0.302 1
Cu4 Cu 0.792 0.601 0.738 1
N1 N 0.054 0.486 0.218 1
N2 N 0.276 0.061 0.910 1
N3 N 0.289 0.508 0.506 1
N4 N 0.337 0.593 0.966 1
N5 N 0.341 0.025 0.626 1
N6 N 0.519 0.442 0.231 1
N7 N 0.770 0.142 0.399 1
N8 N 0.789 0.136 0.983 1
N9 N 0.801 0.870 0.698 1
N10 N 0.881 0.382 0.750 1
N11 N 0.892 0.698 0.418 1
N12 N 0.956 0.950 0.172 1

***

# Sc4TaFe19P12 | Materials Project | PBE-GGA | optimized geometry
# Crystal system: monoclinic
data_Sc4TaFe19P12
_chemical_formula_sum 'Sc4 Ta1 Fe19 P12'
_symmetry_space_group_name_H-M 'P 1 m 1'
_symmetry_Int_Tables_number 6
_cell_length_a 10.196
_cell_length_b 3.607
_cell_length_c 11.746
_cell_angle_alpha 90.00
_cell_angle_beta 90.48
_cell_angle_gamma 90.00
loop_
_symmetry_equiv_pos_as_xyz
'x,y,z'
'x,-y,z'
loop_
_atom_site_label
_atom_site_type_symbol
_atom_site_fract_x
_atom_site_fract_y
_atom_site_fract_z
_atom_site_occupancy
Sc1 Sc 0.000 0.000 0.000 1
Sc2 Sc 0.156 0.500 0.592 1
Sc3 Sc 0.497 0.500 0.088 1
Sc4 Sc 0.663 0.000 0.505 1
Ta1 Ta 0.282 0.500 0.306 1
Fe1 Fe 0.036 0.500 0.363 1
Fe2 Fe 0.109 0.000 0.228 1
Fe3 Fe 0.170 0.000 0.783 1
Fe4 Fe 0.199 0.500 0.092 1
Fe5 Fe 0.299 0.000 0.965 1
Fe6 Fe 0.363 0.000 0.477 1
Fe7 Fe 0.370 0.500 0.806 1
Fe8 Fe 0.455 0.500 0.597 1
Fe9 Fe 0.488 0.000 0.286 1
Fe10 Fe 0.541 0.000 0.728 1
Fe11 Fe 0.616 0.500 0.864 1
Fe12 Fe 0.676 0.500 0.306 1
Fe13 Fe 0.703 0.000 0.996 1
Fe14 Fe 0.785 0.000 0.784 1
Fe15 Fe 0.797 0.500 0.117 1
Fe16 Fe 0.856 0.500 0.621 1
Fe17 Fe 0.871 0.000 0.285 1
Fe18 Fe 0.953 0.000 0.497 1
Fe19 Fe 0.984 0.500 0.806 1
P1 P 0.000 0.500 0.178 1
P2 P 0.148 0.000 0.417 1
P3 P 0.177 0.500 0.902 1
P4 P 0.313 0.000 0.153 1
P5 P 0.338 0.000 0.670 1
P6 P 0.497 0.500 0.409 1
P7 P 0.500 0.000 0.910 1
P8 P 0.658 0.500 0.682 1
P9 P 0.679 0.000 0.189 1
P10 P 0.818 0.500 0.924 1
P11 P 0.839 0.500 0.430 1
P12 P 0.977 0.000 0.688 1

***

# P | Materials Project | PBE-GGA | optimized geometry
# Energy relative to the lowest polymorph listed for this composition, eV/atom: 0.000
# Crystal system: triclinic
data_P
_chemical_formula_sum 'P42'
_symmetry_space_group_name_H-M 'P -1'
_symmetry_Int_Tables_number 2
_cell_length_a 7.857
_cell_length_b 12.147
_cell_length_c 13.049
_cell_angle_alpha 102.67
_cell_angle_beta 106.72
_cell_angle_gamma 101.98
loop_
_symmetry_equiv_pos_as_xyz
'x,y,z'
'-x,-y,-z'
loop_
_atom_site_label
_atom_site_type_symbol
_atom_site_fract_x
_atom_site_fract_y
_atom_site_fract_z
_atom_site_occupancy
P1 P 0.014 0.424 0.329 1
P2 P 0.016 0.955 0.419 1
P3 P 0.017 0.480 0.798 1
P4 P 0.024 0.109 0.350 1
P5 P 0.052 0.980 0.831 1
P6 P 0.086 0.419 0.072 1
P7 P 0.114 0.835 0.897 1
P8 P 0.167 0.278 0.140 1
P9 P 0.223 0.733 0.772 1
P10 P 0.224 0.834 0.651 1
P11 P 0.239 0.652 0.327 1
P12 P 0.264 0.180 0.652 1
P13 P 0.270 0.373 0.324 1
P14 P 0.280 0.772 0.225 1
P15 P 0.306 0.233 0.834 1
P16 P 0.351 0.079 0.892 1
P17 P 0.390 0.506 0.136 1
P18 P 0.393 0.676 0.100 1
P19 P 0.444 0.549 0.321 1
P20 P 0.467 0.981 0.772 1
P21 P 0.477 0.086 0.652 1

***

# BaHCl | Materials Project | PBE-GGA | optimized geometry
# Crystal system: tetragonal
data_BaHCl
_chemical_formula_sum 'Ba2 H2 Cl2'
_symmetry_space_group_name_H-M 'P 4/n m m'
_symmetry_Int_Tables_number 129
_cell_length_a 4.435
_cell_length_b 4.435
_cell_length_c 7.315
_cell_angle_alpha 90.00
_cell_angle_beta 90.00
_cell_angle_gamma 90.00
loop_
_symmetry_equiv_pos_as_xyz
'x,y,z'
'-x,-y,-z'
'-y+1/2,x,z'
'y+1/2,-x,-z'
'-x+1/2,-y+1/2,z'
'x+1/2,y+1/2,-z'
'y,-x+1/2,z'
'-y,x+1/2,-z'
'x+1/2,-y,-z'
'-x+1/2,y,z'
'-y,-x,-z'
'y,x,z'
'-x,y+1/2,-z'
'x,-y+1/2,z'
'y+1/2,x+1/2,-z'
'-y+1/2,-x+1/2,z'
loop_
_atom_site_label
_atom_site_type_symbol
_atom_site_fract_x
_atom_site_fract_y
_atom_site_fract_z
_atom_site_occupancy
Ba1 Ba 0.250 0.250 0.208 1
H1 H 0.250 0.750 0.000 1
Cl1 Cl 0.250 0.250 0.653 1

***

Number 1: ΔH_f (0 K) 0.976 eV/f.u.. Number 2: ΔH_f (0 K) -27.795 eV/f.u.. Number 3: ΔH_f (0 K) 0.000 eV/f.u.. Number 4: ΔH_f (0 K) -5.327 eV/f.u..